Record 1
The following is a DFT calculation (GGA+U) of an optimized crystal structure of LiV5O7F.

Calculated values
The calculation puts the energy above the most stable polymorph in this dataset at 4 meV per atom.

a b c (Å): 6.047 6.050 10.528
angles (deg): 90.32 106.67 118.95
Space group P1 (No. 1)
Unique sites:
Li1 0.000 0.000 0.000 (multiplicity 1)
Li2 0.001 0.502 0.497 (multiplicity 1)
V1 0.104 0.578 0.194 (multiplicity 1)
V2 0.106 0.089 0.694 (multiplicity 1)
V3 0.230 0.648 0.882 (multiplicity 1)
V4 0.231 0.142 0.384 (multiplicity 1)
V5 0.601 0.331 0.939 (multiplicity 1)
V6 0.605 0.076 0.195 (multiplicity 1)
V7 0.608 0.585 0.695 (multiplicity 1)
V8 0.608 0.836 0.441 (multiplicity 1)
V9 0.610 0.566 0.189 (multiplicity 1)
V10 0.622 0.070 0.691 (multiplicity 1)
O1 0.357 0.935 0.316 (multiplicity 1)
O2 0.360 0.692 0.079 (multiplicity 1)
O3 0.361 0.451 0.812 (multiplicity 1)
O4 0.361 0.466 0.312 (multiplicity 1)
O5 0.369 0.977 0.815 (multiplicity 1)
O6 0.370 0.211 0.582 (multiplicity 1)
O7 0.397 0.225 0.065 (multiplicity 1)
O8 0.399 0.706 0.565 (multiplicity 1)
O9 0.836 0.443 0.815 (multiplicity 1)
O10 0.837 0.924 0.315 (multiplicity 1)
O11 0.852 0.663 0.067 (multiplicity 1)
O12 0.857 0.174 0.565 (multiplicity 1)
O13 0.857 0.454 0.298 (multiplicity 1)
O14 0.864 0.932 0.801 (multiplicity 1)
F1 0.856 0.205 0.067 (multiplicity 1)
F2 0.861 0.711 0.568 (multiplicity 1)

Record 2
The following is a DFT calculation (GGA+U) of an optimized crystal structure of Nb2Co4O9.

Calculated values
The calculation puts the energy above the most stable polymorph in this dataset at 1 meV per atom.

a b c (Å): 5.208 5.217 14.328
angles (deg): 90.04 90.02 119.87
Space group P1 (No. 1)
Unique sites:
Nb1 0.000 0.000 0.000 (multiplicity 1)
Nb2 0.000 0.000 0.284 (multiplicity 1)
Nb3 0.999 0.997 0.500 (multiplicity 1)
Nb4 0.999 0.998 0.784 (multiplicity 1)
Co1 0.331 0.666 0.629 (multiplicity 1)
Co2 0.334 0.667 0.128 (multiplicity 1)
Co3 0.336 0.662 0.330 (multiplicity 1)
Co4 0.336 0.664 0.830 (multiplicity 1)
Co5 0.665 0.332 0.946 (multiplicity 1)
Co6 0.666 0.332 0.155 (multiplicity 1)
Co7 0.667 0.331 0.652 (multiplicity 1)
Co8 0.667 0.333 0.447 (multiplicity 1)
O1 0.002 0.711 0.391 (multiplicity 1)
O2 0.021 0.342 0.225 (multiplicity 1)
O3 0.021 0.677 0.725 (multiplicity 1)
O4 0.286 0.996 0.892 (multiplicity 1)
O5 0.287 0.290 0.392 (multiplicity 1)
O6 0.320 0.342 0.725 (multiplicity 1)
O7 0.320 0.978 0.225 (multiplicity 1)
O8 0.342 0.019 0.557 (multiplicity 1)
O9 0.344 0.322 0.058 (multiplicity 1)
O10 0.653 0.677 0.226 (multiplicity 1)
O11 0.655 0.978 0.725 (multiplicity 1)
O12 0.676 0.019 0.057 (multiplicity 1)
O13 0.677 0.654 0.558 (multiplicity 1)
O14 0.708 0.710 0.891 (multiplicity 1)
O15 0.708 0.999 0.392 (multiplicity 1)
O16 0.976 0.655 0.058 (multiplicity 1)
O17 0.977 0.321 0.557 (multiplicity 1)
O18 0.999 0.290 0.891 (multiplicity 1)

Record 3
The following is a DFT calculation (GGA+U) of an optimized crystal structure of FeOF.

a b c (Å): 4.758 3.090 14.170
angles (deg): 90.00 90.22 90.00
Space group Pm (No. 6)
Unique sites:
Fe1 0.000 0.000 0.000 (multiplicity 1)
Fe2 0.007 0.000 0.332 (multiplicity 1)
Fe3 0.498 0.500 0.519 (multiplicity 1)
Fe4 0.512 0.500 0.145 (multiplicity 1)
Fe5 0.563 0.500 0.829 (multiplicity 1)
Fe6 0.993 0.000 0.660 (multiplicity 1)
O1 0.199 0.500 0.060 (multiplicity 1)
O2 0.309 0.000 0.567 (multiplicity 1)
O3 0.709 0.000 0.102 (multiplicity 1)
O4 0.720 0.000 0.765 (multiplicity 1)
O5 0.824 0.500 0.598 (multiplicity 1)
O6 0.826 0.500 0.934 (multiplicity 1)
F1 0.215 0.500 0.734 (multiplicity 1)
F2 0.222 0.500 0.398 (multiplicity 1)
F3 0.314 0.000 0.232 (multiplicity 1)
F4 0.326 0.000 0.893 (multiplicity 1)
F5 0.700 0.000 0.431 (multiplicity 1)
F6 0.798 0.500 0.266 (multiplicity 1)

Calculated values (eV per atom) of formation enthalpy at 0 K for the records, taken in order: -2.506 -2.103 -1.993.
Calculated values (eV per atom) of E_tot for the records, taken in order: -7.51 -7.47 -5.97.